Below is a relaxed Mg4Nb2O9 crystal, with properties calculated at the r2SCAN level.

Cell: 5.1778 5.1778 14.0481 Å, 90.00 90.00 120.00°
Positions (direct):
Mg (0.3333, 0.6667, 0.1914)
Mg (0.3333, 0.6667, 0.4837)
Mg (0.3333, 0.6667, 0.6914)
Mg (0.3333, 0.6667, 0.9837)
Mg (0.6667, 0.3333, 0.0163)
Mg (0.6667, 0.3333, 0.3086)
Mg (0.6667, 0.3333, 0.5163)
Mg (0.6667, 0.3333, 0.8086)
Nb (0.0000, 0.0000, 0.1415)
Nb (0.0000, 0.0000, 0.3585)
Nb (0.0000, 0.0000, 0.6415)
Nb (0.0000, 0.0000, 0.8585)
O (0.0000, 0.2913, 0.2500)
O (0.0000, 0.7087, 0.7500)
O (0.0291, 0.3499, 0.5841)
O (0.0291, 0.6793, 0.0841)
O (0.2913, 0.0000, 0.2500)
O (0.2913, 0.2913, 0.7500)
O (0.3207, 0.3499, 0.0841)
O (0.3207, 0.9709, 0.5841)
O (0.3499, 0.0291, 0.9159)
O (0.3499, 0.3207, 0.4159)
O (0.6501, 0.6793, 0.5841)
O (0.6501, 0.9709, 0.0841)
O (0.6793, 0.0291, 0.4159)
O (0.6793, 0.6501, 0.9159)
O (0.7087, 0.0000, 0.7500)
O (0.7087, 0.7087, 0.2500)
O (0.9709, 0.3207, 0.9159)
O (0.9709, 0.6501, 0.4159)

* DFT formation energy: -44.12 eV per formula unit
* magnetic moment: 0.00 μB per cell
* ρ: 4.3 g cm⁻³